A plane-wave DFT calculation with r²SCAN was carried out for ZrNiSn after structural relaxation.

Computed properties:
total moment: 0.00 μB/f.u.
VASP energy: -61.7 eV/cell
energy relative to the elements: -0.7556 eV/atom

Lattice parameters (Å, degrees): 4.324 4.324 4.324 60.00 60.00 60.00
Fractional coordinates of all 3 atoms:
Zr1 0.000 0.000 0.000
Sn1 0.500 0.500 0.500
Ni1 0.250 0.250 0.250

A plane-wave DFT calculation with r²SCAN was carried out for TaNi2 after structural relaxation.

Computed properties:
total moment: 0.00 μB/f.u.
VASP energy: -73.5 eV/cell
energy relative to the elements: -0.3056 eV/atom

Lattice parameters (Å, degrees): 3.147 3.147 4.501 110.46 110.46 90.00
Fractional coordinates of all 3 atoms:
Ni1 0.333 0.333 0.667
Ni2 0.667 0.667 0.333
Ta1 0.000 0.000 0.000

A plane-wave DFT calculation with r²SCAN was carried out for Ta2Ni after structural relaxation.

Computed properties:
total moment: 0.00 μB/f.u.
VASP energy: -219.8 eV/cell
energy relative to the elements: -0.2385 eV/atom

Lattice parameters (Å, degrees): 4.839 5.005 5.005 76.48 61.09 61.09
Fractional coordinates of all 6 atoms:
Ta1 0.341 0.818 0.500
Ta2 0.659 0.182 0.500
Ta3 0.159 0.500 0.182
Ta4 0.841 0.500 0.818
Ni1 0.750 0.000 0.000
Ni2 0.250 0.000 0.000

A plane-wave DFT calculation with r²SCAN was carried out for TaNiTe2 after structural relaxation.

Computed properties:
total moment: 0.00 μB/f.u.
VASP energy: -452.2 eV/cell
energy relative to the elements: -0.4109 eV/atom

Lattice parameters (Å, degrees): 6.276 7.554 7.940 90.00 90.00 90.00
Fractional coordinates of all 16 atoms:
Ta1 0.750 0.464 0.957
Ta2 0.750 0.464 0.543
Ta3 0.250 0.464 0.043
Ta4 0.250 0.464 0.457
Te1 0.500 0.772 0.000
Te2 0.503 0.249 0.750
Te3 0.997 0.679 0.750
Te4 0.497 0.249 0.250
Te5 0.000 0.156 0.500
Te6 0.000 0.156 0.000
Te7 0.500 0.772 0.500
Te8 0.003 0.679 0.250
Ni1 0.608 0.579 0.250
Ni2 0.892 0.350 0.250
Ni3 0.392 0.579 0.750
Ni4 0.108 0.350 0.750

A plane-wave DFT calculation with r²SCAN was carried out for TaNiTe5 after structural relaxation.

Computed properties:
total moment: 0.00 μB/f.u.
VASP energy: -379.8 eV/cell
energy relative to the elements: -0.3203 eV/atom

Lattice parameters (Å, degrees): 3.707 7.191 15.126 90.00 90.00 104.94
Fractional coordinates of all 14 atoms:
Te1 0.902 0.804 0.356
Te2 0.902 0.804 0.144
Te3 0.098 0.196 0.644
Te4 0.600 0.200 0.425
Te5 0.400 0.800 0.575
Te6 0.600 0.200 0.075
Te7 0.098 0.196 0.856
Te8 0.163 0.326 0.250
Te9 0.837 0.674 0.750
Te10 0.400 0.800 0.925
Ta1 0.509 0.018 0.250
Ta2 0.491 0.982 0.750
Ni1 0.000 0.000 0.500
Ni2 0.000 0.000 0.000

A plane-wave DFT calculation with r²SCAN was carried out for Tb3Ni after structural relaxation.

Computed properties:
total moment: 0.55 μB/f.u.
VASP energy: -426.4 eV/cell
energy relative to the elements: -0.2361 eV/atom

Lattice parameters (Å, degrees): 6.322 6.821 9.716 90.00 90.00 90.00
Fractional coordinates of all 16 atoms:
Tb1 0.144 0.036 0.250
Tb2 0.856 0.964 0.750
Tb3 0.180 0.327 0.932
Tb4 0.820 0.673 0.068
Tb5 0.320 0.827 0.932
Tb6 0.820 0.673 0.432
Tb7 0.320 0.827 0.568
Tb8 0.180 0.327 0.568
Tb9 0.356 0.536 0.250
Tb10 0.680 0.173 0.432
Tb11 0.644 0.464 0.750
Tb12 0.680 0.173 0.068
Ni1 0.944 0.386 0.250
Ni2 0.056 0.614 0.750
Ni3 0.556 0.886 0.250
Ni4 0.444 0.114 0.750

A plane-wave DFT calculation with r²SCAN was carried out for TbNi2 after structural relaxation.

Computed properties:
total moment: 0.00 μB/f.u.
VASP energy: -112.8 eV/cell
energy relative to the elements: -0.4010 eV/atom

Lattice parameters (Å, degrees): 5.027 5.027 5.027 60.00 60.00 60.00
Fractional coordinates of all 6 atoms:
Ni1 0.000 0.500 0.500
Ni2 0.500 0.500 0.500
Ni3 0.500 0.000 0.500
Ni4 0.500 0.500 0.000
Tb1 0.875 0.875 0.875
Tb2 0.125 0.125 0.125

A plane-wave DFT calculation with r²SCAN was carried out for TbYNi2 after structural relaxation.

Computed properties:
total moment: 0.00 μB/f.u.
VASP energy: -154.1 eV/cell
energy relative to the elements: -0.3876 eV/atom

Lattice parameters (Å, degrees): 4.065 5.480 7.185 90.00 90.00 90.00
Fractional coordinates of all 8 atoms:
Y1 0.500 0.618 0.820
Y2 0.500 0.382 0.320
Ni1 0.000 0.631 0.536
Ni2 0.500 0.129 0.963
Ni3 0.500 0.871 0.463
Ni4 0.000 0.369 0.036
Tb1 0.000 0.118 0.680
Tb2 0.000 0.882 0.180

A plane-wave DFT calculation with r²SCAN was carried out for Tb2ZnNi2 after structural relaxation.

Computed properties:
total moment: 0.00 μB/f.u.
VASP energy: -97.6 eV/cell
energy relative to the elements: -0.4454 eV/atom

Lattice parameters (Å, degrees): 4.235 5.276 5.276 60.53 66.34 66.34
Fractional coordinates of all 5 atoms:
Tb1 0.202 0.298 0.298
Tb2 0.798 0.702 0.702
Ni1 0.500 0.733 0.267
Ni2 0.500 0.267 0.733
Zn1 0.000 0.000 0.000

A plane-wave DFT calculation with r²SCAN was carried out for Tc3Ni after structural relaxation.

Computed properties:
total moment: 0.00 μB/f.u.
VASP energy: -180.7 eV/cell
energy relative to the elements: -0.1154 eV/atom

Lattice parameters (Å, degrees): 5.326 5.326 4.299 90.00 90.00 120.00
Fractional coordinates of all 8 atoms:
Ni1 0.667 0.333 0.250
Ni2 0.333 0.667 0.750
Tc1 0.834 0.668 0.750
Tc2 0.332 0.166 0.750
Tc3 0.166 0.332 0.250
Tc4 0.166 0.834 0.250
Tc5 0.668 0.834 0.250
Tc6 0.834 0.166 0.750

A plane-wave DFT calculation with r²SCAN was carried out for NiTe2 after structural relaxation.

Computed properties:
total moment: 0.00 μB/f.u.
VASP energy: -253.1 eV/cell
energy relative to the elements: -0.1554 eV/atom

Lattice parameters (Å, degrees): 6.384 6.384 6.384 90.00 90.00 90.00
Fractional coordinates of all 12 atoms:
Ni1 0.500 0.000 0.500
Ni2 0.000 0.000 0.000
Ni3 0.500 0.500 0.000
Ni4 0.000 0.500 0.500
Te1 0.865 0.365 0.135
Te2 0.365 0.135 0.865
Te3 0.635 0.635 0.635
Te4 0.135 0.635 0.865
Te5 0.865 0.135 0.635
Te6 0.635 0.865 0.135
Te7 0.135 0.865 0.365
Te8 0.365 0.365 0.365

A plane-wave DFT calculation with r²SCAN was carried out for NiTe2 after structural relaxation.

Computed properties:
total moment: 0.00 μB/f.u.
VASP energy: -63.5 eV/cell
energy relative to the elements: -0.2253 eV/atom

Lattice parameters (Å, degrees): 3.867 3.867 5.362 90.00 90.00 120.00
Fractional coordinates of all 3 atoms:
Te1 0.333 0.667 0.242
Te2 0.667 0.333 0.758
Ni1 0.000 0.000 0.000

A plane-wave DFT calculation with r²SCAN was carried out for Th2Ni17 after structural relaxation.

Computed properties:
total moment: 7.34 μB/f.u.
VASP energy: -709.2 eV/cell
energy relative to the elements: -0.2089 eV/atom

Lattice parameters (Å, degrees): 8.292 8.292 7.990 90.00 90.00 120.00
Fractional coordinates of all 38 atoms:
Th1 0.333 0.667 0.750
Th2 0.667 0.333 0.250
Th3 0.000 0.000 0.750
Th4 0.000 0.000 0.250
Ni1 0.667 0.333 0.603
Ni2 0.046 0.672 0.250
Ni3 0.166 0.332 0.519
Ni4 0.626 0.954 0.250
Ni5 0.834 0.668 0.481
Ni6 0.954 0.328 0.750
Ni7 0.333 0.667 0.397
Ni8 0.000 0.500 0.000
Ni9 0.374 0.046 0.750
Ni10 0.046 0.374 0.250
Ni11 0.328 0.374 0.250
Ni12 0.500 0.000 0.500
Ni13 0.834 0.166 0.481
Ni14 0.332 0.166 0.481
Ni15 0.333 0.667 0.103
Ni16 0.374 0.328 0.750
Ni17 0.626 0.672 0.250
Ni18 0.500 0.000 0.000
Ni19 0.500 0.500 0.500
Ni20 0.834 0.668 0.019
Ni21 0.667 0.333 0.897
Ni22 0.668 0.834 0.981
Ni23 0.328 0.954 0.250
Ni24 0.166 0.332 0.981
Ni25 0.332 0.166 0.019
Ni26 0.166 0.834 0.519
Ni27 0.834 0.166 0.019
Ni28 0.166 0.834 0.981
Ni29 0.954 0.626 0.750
Ni30 0.672 0.046 0.750
Ni31 0.000 0.500 0.500
Ni32 0.672 0.626 0.750
Ni33 0.668 0.834 0.519
Ni34 0.500 0.500 0.000

A plane-wave DFT calculation with r²SCAN was carried out for TiNi after structural relaxation.

Computed properties:
total moment: 0.39 μB/f.u.
VASP energy: -230.7 eV/cell
energy relative to the elements: -0.3579 eV/atom

Lattice parameters (Å, degrees): 7.219 7.219 5.313 90.00 90.00 120.00
Fractional coordinates of all 18 atoms:
Ti1 0.667 0.333 0.949
Ti2 0.653 0.668 0.349
Ti3 0.347 0.332 0.651
Ti4 0.668 0.015 0.651
Ti5 0.000 0.000 0.000
Ti6 0.985 0.653 0.651
Ti7 0.332 0.985 0.349
Ti8 0.333 0.667 0.051
Ti9 0.015 0.347 0.349
Ni1 0.667 0.333 0.401
Ni2 0.339 0.310 0.137
Ni3 0.661 0.690 0.863
Ni4 0.970 0.661 0.137
Ni5 0.333 0.667 0.599
Ni6 0.690 0.030 0.137
Ni7 0.310 0.970 0.863
Ni8 0.030 0.339 0.863
Ni9 0.000 0.000 0.500

A plane-wave DFT calculation with r²SCAN was carried out for TiNi after structural relaxation.

Computed properties:
total moment: 0.00 μB/f.u.
VASP energy: -25.6 eV/cell
energy relative to the elements: -0.3278 eV/atom

Lattice parameters (Å, degrees): 2.988 2.988 2.988 90.00 90.00 90.00
Fractional coordinates of all 2 atoms:
Ti1 0.500 0.500 0.500
Ni1 0.000 0.000 0.000

A plane-wave DFT calculation with r²SCAN was carried out for TiNi after structural relaxation.

Computed properties:
total moment: 0.35 μB/f.u.
VASP energy: -204.9 eV/cell
energy relative to the elements: -0.3441 eV/atom

Lattice parameters (Å, degrees): 7.182 7.182 7.182 129.62 129.62 74.02
Fractional coordinates of all 16 atoms:
Ni1 0.906 0.906 0.553
Ni2 0.647 0.647 0.553
Ni3 0.353 0.353 0.447
Ni4 0.647 0.094 0.000
Ni5 0.906 0.353 0.000
Ni6 0.094 0.647 0.000
Ni7 0.094 0.094 0.447
Ni8 0.353 0.906 0.000
Ti1 0.250 0.750 0.500
Ti2 0.500 0.500 0.000
Ti3 0.500 0.000 0.500
Ti4 0.729 0.729 0.000
Ti5 0.750 0.250 0.500
Ti6 0.000 0.000 0.000
Ti7 0.271 0.271 0.000
Ti8 0.000 0.500 0.500

A plane-wave DFT calculation with r²SCAN was carried out for Ti2Ni after structural relaxation.

Computed properties:
total moment: 0.41 μB/f.u.
VASP energy: -309.5 eV/cell
energy relative to the elements: -0.2758 eV/atom

Lattice parameters (Å, degrees): 7.950 7.950 7.950 60.00 60.00 60.00
Fractional coordinates of all 24 atoms:
Ti1 0.437 0.437 0.063
Ti2 0.187 0.187 0.813
Ti3 0.187 0.813 0.813
Ti4 0.063 0.437 0.437
Ti5 0.813 0.187 0.813
Ti6 0.625 0.625 0.625
Ti7 0.813 0.813 0.187
Ti8 0.063 0.437 0.063
Ti9 0.125 0.625 0.625
Ti10 0.625 0.125 0.625
Ti11 0.625 0.625 0.125
Ti12 0.437 0.063 0.063
Ti13 0.437 0.063 0.437
Ti14 0.187 0.813 0.187
Ti15 0.063 0.063 0.437
Ti16 0.813 0.187 0.187
Ni1 0.477 0.841 0.841
Ni2 0.773 0.409 0.409
Ni3 0.841 0.841 0.477
Ni4 0.841 0.841 0.841
Ni5 0.841 0.477 0.841
Ni6 0.409 0.409 0.409
Ni7 0.409 0.773 0.409
Ni8 0.409 0.409 0.773

A plane-wave DFT calculation with r²SCAN was carried out for Ti3Ni4 after structural relaxation.

Computed properties:
total moment: 0.00 μB/f.u.
VASP energy: -179.0 eV/cell
energy relative to the elements: -0.3956 eV/atom

Lattice parameters (Å, degrees): 6.657 6.657 6.657 113.92 113.92 113.92
Fractional coordinates of all 14 atoms:
Ti1 0.502 0.106 0.240
Ti2 0.760 0.498 0.894
Ti3 0.894 0.760 0.498
Ti4 0.240 0.502 0.106
Ti5 0.106 0.240 0.502
Ti6 0.498 0.894 0.760
Ni1 0.741 0.058 0.581
Ni2 0.259 0.942 0.419
Ni3 0.000 0.000 0.000
Ni4 0.942 0.419 0.259
Ni5 0.581 0.741 0.058
Ni6 0.419 0.259 0.942
Ni7 0.058 0.581 0.741
Ni8 0.500 0.500 0.500

A plane-wave DFT calculation with r²SCAN was carried out for TiNi after structural relaxation.

Computed properties:
total moment: 0.00 μB/f.u.
VASP energy: -51.4 eV/cell
energy relative to the elements: -0.3933 eV/atom

Lattice parameters (Å, degrees): 2.899 3.987 4.895 90.00 107.01 90.00
Fractional coordinates of all 4 atoms:
Ti1 0.359 0.250 0.715
Ti2 0.641 0.750 0.285
Ni1 0.085 0.250 0.171
Ni2 0.915 0.750 0.829

A plane-wave DFT calculation with r²SCAN was carried out for TiNi after structural relaxation.

Computed properties:
total moment: 0.00 μB/f.u.
VASP energy: -51.3 eV/cell
energy relative to the elements: -0.3674 eV/atom

Lattice parameters (Å, degrees): 2.856 4.086 4.587 90.00 90.00 90.00
Fractional coordinates of all 4 atoms:
Ni1 0.000 0.750 0.179
Ni2 0.000 0.250 0.821
Ti1 0.500 0.250 0.274
Ti2 0.500 0.750 0.726